1.
ZrTcCl | Materials Project | PBE | relaxed; calculated volume = 17.9 Å³/atom; total magnetization = 0.001 μB/f.u.; final energy = -6.30 eV/atom; energy of formation = 1.23 eV per formula unit
1.0
-1.319 0.874 3.928
-4.130 -0.134 0.926
-1.519 -3.094 2.461
Zr Tc Cl
1 1 1
Cartesian
-3.484 -1.177 3.658
0.000 0.000 0.000
-5.226 -1.766 5.486

---

2.
Te2Cl | Materials Project | PBE | relaxed; calculated volume = 34.4 Å³/atom; final energy = -2.96 eV/atom; energy of formation = -1.35 eV per formula unit
1.0
3.998 0.000 0.000
0.000 12.837 0.000
0.000 0.000 16.105
Te Cl
16 8
Cartesian
1.000 1.012 1.511
2.999 11.825 14.593
2.999 7.430 6.541
1.000 5.407 9.564
1.000 8.994 2.971
2.999 3.843 13.133
2.999 2.576 5.081
1.000 10.261 11.024
1.000 9.476 6.796
2.999 3.360 9.309
2.999 3.058 1.256
1.000 9.779 14.848
1.000 0.626 4.516
2.999 12.210 11.588
2.999 7.045 3.536
1.000 5.792 12.569
1.000 4.988 0.934
2.999 7.849 15.171
2.999 11.406 7.119
1.000 1.430 8.986
1.000 4.576 5.537
2.999 8.260 10.568
2.999 10.995 2.515
1.000 1.842 13.589

---

3.
Tl2TeCl6 | Materials Project | PBE | relaxed; calculated volume = 31.0 Å³/atom; final energy = -2.92 eV/atom; energy of formation = -11.02 eV per formula unit
1.0
-0.417 6.831 2.639
6.084 3.465 2.187
2.634 5.614 -3.919
Tl Te Cl
2 1 6
Cartesian
2.075 3.978 0.227
6.225 11.933 0.680
0.000 0.000 0.000
1.838 7.386 1.560
5.130 5.682 1.331
3.171 10.228 -0.424
6.463 8.524 -0.653
3.382 6.770 -1.761
4.918 9.141 2.667

---

4.
ZrTe2Cl12 | Materials Project | PBE | relaxed; calculated volume = 33.7 Å³/atom; total magnetization = 0.000 μB/f.u.; final energy = -3.47 eV/atom; energy of formation = -22.38 eV per formula unit
1.0
-11.441 20.819 -10.995
-16.846 20.028 -0.579
-6.388 25.348 -1.388
Zr Te Cl
6 12 72
Cartesian
-12.961 24.742 -4.845
-4.377 8.355 -1.636
-21.714 41.452 -8.118
-26.006 49.646 -9.722
-30.298 57.839 -11.327
-8.669 16.549 -3.241
-15.430 37.564 -7.094
-14.435 31.756 -2.774
-16.691 22.925 -4.523
-23.510 39.780 -11.479
-19.245 28.630 -5.869
-17.984 43.270 -8.440
-11.165 26.415 -1.484
-14.038 30.706 -9.195
-11.114 25.055 -8.562
-20.637 35.488 -3.768
-23.561 41.139 -4.401
-20.240 34.439 -10.189
-15.969 22.145 -2.419
-17.100 27.895 -6.495
-26.701 51.272 -7.954
-23.880 46.155 -6.584
-12.270 23.920 -2.595
-23.006 34.756 -9.356
-18.706 44.050 -10.544
-22.404 42.275 -10.368
-6.658 8.944 -0.821
-23.921 42.109 -7.160
-20.762 43.686 -7.552
-9.356 18.178 -1.473
-25.318 48.017 -11.490
-19.776 33.528 -8.065
-18.992 27.696 -3.130
-15.683 38.498 -9.833
-4.912 9.256 -3.899
-18.459 34.922 -4.469
-25.065 51.514 -11.093
-13.489 29.655 -7.164
-16.520 32.404 -1.878
-18.154 33.790 -11.085
-21.874 49.432 -12.076
-28.735 46.018 -11.155
-16.193 35.454 -7.814
-25.801 44.500 -9.898
-16.216 31.273 -8.494
-15.049 29.575 -3.403
-8.874 21.694 -3.065
-15.237 25.388 -4.017
-14.899 32.667 -4.898
-6.455 16.287 -2.108
-12.801 16.762 -0.887
-21.127 40.525 -5.864
-19.912 29.431 -7.987
-13.913 22.508 -5.411
-23.789 49.385 -8.596
-12.584 19.839 -2.614
-18.481 30.741 -5.149
-3.505 10.577 -0.916
-28.017 57.250 -12.142
-17.575 38.300 -6.468
-12.010 22.925 -9.026
-5.940 20.176 -1.808
-19.438 40.806 -8.946
-13.548 25.669 -7.099
-13.159 32.835 -8.674
-10.886 16.810 -4.367
-15.137 28.294 -10.385
-19.626 36.620 -9.560
-22.664 43.270 -3.937
-21.186 36.539 -5.799
-10.795 20.039 -6.379
-25.114 49.105 -5.078
-28.220 49.908 -10.855
-22.091 46.355 -10.349
-9.561 17.089 -7.885
-9.111 25.737 -2.422
-7.974 14.923 -5.009
-11.669 31.439 -3.607
-19.538 37.900 -2.578
-21.516 33.360 -4.289
-9.610 14.681 -1.870
-10.754 24.086 -5.803
-22.570 39.195 -8.793
-25.563 40.458 -10.541
-14.763 36.763 -4.976
-31.170 55.617 -12.047
-7.731 18.414 -4.618
-12.104 26.999 -4.170
-29.763 56.938 -9.064
-26.944 47.781 -8.345

---

5.
ZrTe6Cl6 | Materials Project | PBE | relaxed; calculated volume = 32.9 Å³/atom; total magnetization = 0.000 μB/f.u.; final energy = -3.76 eV/atom; energy of formation = -14.01 eV per formula unit
1.0
11.381 0.000 0.000
0.000 11.441 0.000
0.000 0.000 13.141
Zr Te Cl
4 24 24
Cartesian
8.386 2.373 3.285
2.995 8.094 3.285
8.386 3.347 9.856
2.995 9.068 9.856
8.263 8.674 3.285
3.119 2.953 3.285
8.263 8.488 9.856
3.119 2.767 9.856
0.270 2.860 6.571
11.112 8.581 0.000
11.112 8.581 6.571
0.270 2.860 0.000
4.392 4.171 6.157
6.990 9.892 0.413
4.392 1.549 6.984
6.990 7.270 12.728
6.990 7.270 6.984
4.392 1.549 12.728
6.990 9.892 6.157
4.392 4.171 0.413
2.103 4.566 7.837
9.279 10.286 11.875
2.103 1.155 5.304
9.279 6.875 1.266
9.279 6.875 5.304
2.103 1.155 1.266
9.279 10.286 7.837
2.103 4.566 11.875
9.601 1.035 1.511
1.781 6.755 5.059
9.601 4.686 11.630
1.781 10.406 8.082
1.781 10.406 11.630
9.601 4.686 8.082
1.781 6.755 1.511
9.601 1.035 5.059
7.235 3.756 5.015
4.147 9.476 1.555
7.235 1.965 8.126
4.147 7.685 11.586
4.147 7.685 8.126
7.235 1.965 11.586
4.147 9.476 5.015
7.235 3.756 1.555
1.121 7.491 9.856
10.261 1.770 9.856
1.121 9.671 3.285
10.261 3.950 3.285
4.775 10.788 9.856
6.607 5.067 9.856
4.775 6.374 3.285
6.607 0.653 3.285

---

6.
ThCl | Materials Project | PBE | relaxed; calculated volume = 28.0 Å³/atom; total magnetization = 0.557 μB/f.u.; final energy = -5.58 eV/atom; energy of formation = -2.50 eV per formula unit
1.0
1.784 -3.089 0.000
1.784 3.089 0.000
0.000 0.000 10.151
Th Cl
2 2
Cartesian
1.784 -1.030 8.426
1.784 1.030 3.350
1.784 -1.030 5.531
1.784 1.030 0.456

---

7.
Tl2Cl3 | Materials Project | PBE | relaxed; calculated volume = 31.4 Å³/atom; total magnetization = 0.001 μB/f.u.; final energy = -2.96 eV/atom; energy of formation = -6.37 eV per formula unit
1.0
13.121 0.000 0.000
0.000 15.196 0.000
0.000 0.000 25.214
Tl Cl
64 96
Cartesian
3.368 13.983 16.752
3.009 6.008 16.628
5.556 1.973 6.303
3.250 5.946 0.109
5.569 1.819 11.171
7.748 5.485 13.254
9.928 8.811 21.069
9.811 1.653 0.109
1.004 9.571 18.910
9.871 9.251 25.105
12.130 5.779 1.435
1.154 1.988 18.910
7.641 5.423 4.065
11.934 13.083 0.647
3.250 5.946 12.498
7.552 13.377 23.778
7.552 13.377 14.042
1.081 2.175 4.065
12.130 5.779 11.171
3.551 13.607 4.022
3.551 13.607 8.585
11.934 13.083 11.960
9.871 9.251 12.716
7.565 13.224 18.910
9.928 8.811 16.752
7.748 5.485 24.567
0.997 10.220 3.951
3.310 13.544 12.716
7.558 12.574 8.656
9.811 1.653 12.498
3.193 6.385 4.145
7.558 12.574 3.951
3.009 6.008 21.192
3.368 13.983 21.069
1.081 2.175 8.542
9.570 1.590 16.628
3.193 6.385 8.462
0.992 9.418 23.778
5.564 2.622 21.263
12.040 13.021 16.672
1.188 2.114 24.567
10.112 9.188 8.585
0.997 10.220 8.656
5.480 9.774 16.672
12.124 4.976 16.558
12.124 4.976 21.263
5.480 9.774 21.149
11.967 13.208 6.303
10.112 9.188 4.022
1.188 2.114 13.254
5.373 9.712 11.960
12.040 13.021 21.149
5.564 2.622 16.558
3.310 13.544 25.105
5.569 1.819 1.435
7.714 5.610 18.910
12.117 5.626 6.303
0.992 9.418 14.042
9.753 1.213 4.145
7.641 5.423 8.542
9.753 1.213 8.462
5.407 9.587 6.303
9.570 1.590 21.192
5.373 9.712 0.647
4.498 11.824 23.405
12.040 9.523 1.362
1.081 5.673 23.852
3.371 8.348 18.910
6.766 14.866 20.840
9.007 7.377 10.963
12.040 9.523 11.245
2.063 4.226 1.809
7.834 2.867 18.910
2.161 11.623 11.432
11.058 10.970 23.405
2.775 9.006 6.303
10.674 14.975 23.570
1.146 13.814 14.183
7.831 5.441 21.450
11.694 10.713 18.910
5.291 9.756 3.764
5.134 12.081 18.910
10.346 6.190 18.910
9.335 13.788 6.303
4.848 3.562 8.255
2.161 11.623 1.175
7.988 3.115 6.303
11.851 13.039 3.764
6.355 0.331 8.233
7.707 8.980 14.183
7.707 8.980 23.638
5.291 9.756 8.843
5.781 6.948 6.303
0.206 7.929 16.980
11.408 4.036 4.352
11.851 13.039 8.843
5.287 12.329 6.303
7.831 5.441 16.371
1.146 13.814 23.638
10.674 14.975 14.251
10.960 3.574 13.782
12.916 7.267 8.233
5.480 13.271 1.362
9.007 7.377 1.644
8.623 3.372 1.809
11.058 10.970 14.416
2.447 0.222 10.963
3.190 0.750 6.303
6.766 14.866 16.980
1.081 5.673 13.969
4.498 11.824 14.416
1.274 4.731 18.910
12.341 0.650 6.303
8.722 11.172 11.432
1.270 2.157 16.371
12.916 7.267 4.373
8.012 10.150 6.303
5.480 13.271 11.245
4.399 4.025 13.782
10.951 7.285 14.018
11.975 1.382 11.031
4.399 4.025 24.039
4.114 7.820 23.570
1.452 12.645 6.303
1.713 11.160 20.862
0.206 7.929 20.840
11.975 1.382 1.576
8.623 3.372 10.798
11.848 10.465 6.303
8.731 14.883 11.196
1.427 4.483 6.303
9.931 14.446 18.910
11.408 4.036 8.255
8.273 11.634 20.862
7.642 1.925 13.969
2.447 0.222 1.644
2.170 7.912 1.411
4.390 0.313 14.018
4.390 0.313 23.802
7.340 8.248 18.910
7.642 1.925 23.852
2.063 4.226 10.798
6.355 0.331 4.373
5.414 6.216 11.031
4.848 3.562 4.352
5.414 6.216 1.576
2.170 7.912 11.196
1.713 11.160 16.959
3.786 1.408 18.910
4.114 7.820 14.251
9.750 6.848 6.303
5.109 5.047 18.910
10.960 3.574 24.039
10.951 7.285 23.802
8.722 11.172 1.175
8.273 11.634 16.959
11.670 2.551 18.910
8.731 14.883 1.411
1.270 2.157 21.450
0.780 14.546 18.910

---

8.
TlCl2 | Materials Project | PBE | relaxed; calculated volume = 34.1 Å³/atom; final energy = -2.84 eV/atom; energy of formation = -3.69 eV per formula unit
1.0
-3.582 3.582 7.972
3.582 -3.582 7.972
3.582 3.582 -7.972
Tl Cl
4 8
Cartesian
3.582 0.000 3.986
0.000 0.000 7.972
0.000 3.582 3.986
0.000 0.000 0.000
1.757 4.703 2.632
2.462 -1.825 6.618
1.121 5.408 -1.354
1.825 -1.121 10.604
1.757 1.121 1.354
2.462 1.757 -2.632
1.121 1.825 5.340
1.825 2.462 9.326

---

9.
Tl2Cl3 | Materials Project | PBE | relaxed; calculated volume = 32.9 Å³/atom; total magnetization = 0.001 μB/f.u.; final energy = -2.82 eV/atom; energy of formation = -5.66 eV per formula unit
1.0
-8.262 -2.333 3.844
-7.351 -5.788 0.972
-5.437 -5.704 5.137
Tl Cl
2 3
Cartesian
-12.601 -8.276 5.958
-8.450 -5.549 3.995
0.000 0.000 0.000
-4.622 -3.035 2.185
-16.429 -10.789 7.767

---

10.
TmCl3 | Materials Project | PBE | relaxed; calculated volume = 28.9 Å³/atom; final energy = -4.75 eV/atom; energy of formation = -10.82 eV per formula unit
1.0
-0.491 -1.591 -6.941
-2.001 -6.360 -2.548
-6.138 -1.219 -3.433
Tm Cl
2 6
Cartesian
-4.315 -4.585 -6.461
0.000 0.000 0.000
-1.812 -3.823 -6.574
-3.965 -5.420 -4.003
-3.620 -6.950 -7.347
-4.665 -3.751 -8.919
-6.818 -5.348 -6.348
-5.011 -2.221 -5.575

---

Question: Which of these has the lowest calculated volume?
Answer: ZrTcCl

---

Question: Which of these has the highest calculated volume?
Answer: Te2Cl